A geometry-optimized Li3SnP2O8 structure, computed with GGA-PBE.

Properties
Symmetry: P3
Formation energy (eV/atom): -2.556
Spin magnetization (μB/f.u.): 0.33

```
Li3SnP2O8
1.0
8.519 0.000 0.000
-4.259 7.378 0.000
0.000 0.000 7.709
Li Sn P O
9 3 6 24
direct
0.000 0.000 0.000 Li
0.017 0.341 0.111 Li
0.318 0.292 0.826 Li
0.324 0.983 0.111 Li
0.333 0.667 0.970 Li
0.659 0.676 0.111 Li
0.667 0.333 0.072 Li
0.708 0.026 0.826 Li
0.974 0.682 0.826 Li
0.000 0.000 0.498 Sn
0.333 0.667 0.417 Sn
0.667 0.333 0.521 Sn
0.037 0.371 0.716 P
0.330 0.312 0.218 P
0.334 0.963 0.716 P
0.629 0.666 0.716 P
0.688 0.019 0.218 P
0.981 0.670 0.218 P
0.099 0.228 0.689 O
0.099 0.511 0.562 O
0.115 0.470 0.887 O
0.129 0.901 0.689 O
0.194 0.750 0.246 O
0.232 0.190 0.059 O
0.250 0.444 0.246 O
0.291 0.189 0.380 O
0.355 0.885 0.887 O
0.411 0.901 0.562 O
0.446 0.174 0.725 O
0.489 0.589 0.562 O
0.530 0.645 0.887 O
0.533 0.428 0.180 O
0.556 0.806 0.246 O
0.572 0.105 0.180 O
0.728 0.554 0.725 O
0.772 0.871 0.689 O
0.810 0.043 0.059 O
0.811 0.102 0.380 O
0.826 0.272 0.725 O
0.895 0.467 0.180 O
0.898 0.709 0.380 O
0.957 0.768 0.059 O
```

=====

A geometry-optimized LiSnP2O7 structure, computed with GGA-PBE.

Properties
Offset from the most stable computed form (kcal/mol of atoms): 1.19
Symmetry: P-1
Formation energy (eV/atom): -2.452
Spin magnetization (μB/f.u.): 0.00

```
LiSnP2O7
1.0
5.120 0.000 0.000
-2.206 6.289 0.000
-0.258 -3.544 9.002
Li Sn P O
2 2 4 14
direct
0.060 0.329 0.041 Li
0.940 0.671 0.959 Li
0.148 0.121 0.336 Sn
0.852 0.879 0.664 Sn
0.289 0.672 0.379 P
0.497 0.164 0.859 P
0.503 0.836 0.141 P
0.711 0.328 0.621 P
0.084 0.805 0.406 O
0.147 0.417 0.275 O
0.188 0.097 0.882 O
0.291 0.626 0.024 O
0.409 0.044 0.178 O
0.440 0.700 0.525 O
0.475 0.211 0.704 O
0.525 0.789 0.296 O
0.560 0.300 0.475 O
0.591 0.956 0.822 O
0.709 0.374 0.976 O
0.812 0.903 0.118 O
0.853 0.583 0.725 O
0.916 0.195 0.594 O
```

=====

formation energy of number 2 (LiSnP2O7)?
-2.452 eV/atom